VASP calculation (PBE-GGA) on a relaxed structure of Na6ZnGe7P12O48.

Computed properties:
V   12.1 Å³/atom
SG   P1

Lattice parameters (Å, degrees): 16.876 8.441 21.756 90.03 89.94 120.00
Positions (direct):
P (0.980, 0.626, 0.083)
P (0.497, 0.286, 0.250)
P (0.856, 0.720, 0.252)
P (0.499, 0.715, 0.752)
P (0.522, 0.378, 0.917)
P (0.357, 0.713, 0.250)
P (0.477, 0.621, 0.083)
P (0.522, 0.665, 0.417)
P (0.688, 0.040, 0.583)
P (0.022, 0.378, 0.917)
P (0.641, 0.994, 0.252)
P (0.311, 0.666, 0.918)
P (0.190, 0.333, 0.083)
P (0.143, 0.289, 0.751)
P (0.332, 0.624, 0.582)
P (0.188, 0.040, 0.583)
P (0.145, 0.004, 0.250)
P (0.667, 0.956, 0.917)
P (0.811, 0.665, 0.917)
P (0.980, 0.335, 0.583)
P (0.311, 0.956, 0.417)
P (0.999, 0.715, 0.752)
P (0.644, 0.289, 0.751)
P (0.811, 0.957, 0.417)
P (0.833, 0.041, 0.082)
P (0.167, 0.378, 0.417)
P (0.167, 0.956, 0.917)
P (0.357, 0.992, 0.751)
P (0.334, 0.046, 0.084)
P (0.687, 0.334, 0.083)
P (0.832, 0.624, 0.582)
P (0.857, 0.992, 0.751)
P (0.667, 0.378, 0.417)
P (0.002, 0.285, 0.252)
P (0.022, 0.666, 0.417)
P (0.480, 0.335, 0.583)
Zn (0.833, 0.325, 0.183)
Zn (0.333, 0.339, 0.681)
Zn (0.833, 0.339, 0.681)
O (0.649, 0.819, 0.258)
O (0.735, 0.164, 0.248)
O (0.752, 0.876, 0.359)
O (0.927, 0.494, 0.423)
O (0.729, 0.164, 0.526)
O (0.062, 0.630, 0.357)
O (0.990, 0.819, 0.088)
O (0.897, 0.958, 0.693)
O (0.513, 0.838, 0.410)
O (0.480, 0.168, 0.308)
O (0.989, 0.161, 0.588)
O (0.562, 0.627, 0.359)
O (0.241, 0.174, 0.242)
O (0.897, 0.835, 0.193)
O (0.418, 0.523, 0.748)
O (0.580, 0.187, 0.409)
O (0.081, 0.209, 0.694)
O (0.753, 0.146, 0.924)
O (0.919, 0.803, 0.308)
O (0.088, 0.699, 0.758)
O (0.770, 0.705, 0.974)
O (0.588, 0.699, 0.758)
O (0.427, 0.359, 0.924)
O (0.259, 0.821, 0.758)
O (0.811, 0.108, 0.141)
O (0.561, 0.494, 0.857)
O (0.947, 0.519, 0.142)
O (0.812, 0.516, 0.641)
O (0.346, 0.521, 0.242)
O (0.270, 0.835, 0.474)
O (0.576, 0.505, 0.573)
O (0.248, 0.647, 0.573)
O (0.186, 0.877, 0.857)
O (0.418, 0.034, 0.809)
O (0.592, 0.023, 0.589)
O (0.753, 0.359, 0.423)
O (0.084, 0.462, 0.974)
O (0.489, 0.161, 0.588)
O (0.013, 0.839, 0.409)
O (0.752, 0.627, 0.859)
O (0.906, 0.838, 0.910)
O (0.759, 0.821, 0.758)
O (0.918, 0.523, 0.748)
O (0.521, 0.207, 0.193)
O (0.685, 0.877, 0.857)
O (0.747, 0.848, 0.073)
O (0.759, 0.696, 0.258)
O (0.985, 0.801, 0.810)
O (0.253, 0.147, 0.924)
O (0.397, 0.958, 0.693)
O (0.320, 0.494, 0.924)
O (0.418, 0.296, 0.526)
O (0.253, 0.359, 0.424)
O (0.081, 0.187, 0.410)
O (0.741, 0.375, 0.142)
O (0.920, 0.817, 0.588)
O (0.919, 0.543, 0.025)
O (0.229, 0.164, 0.526)
O (0.906, 0.974, 0.410)
O (0.600, 0.166, 0.809)
O (0.237, 0.307, 0.748)
O (0.353, 0.543, 0.524)
O (0.081, 0.975, 0.910)
O (0.312, 0.516, 0.641)
O (0.076, 0.646, 0.074)
O (0.729, 0.295, 0.025)
O (0.419, 0.027, 0.091)
O (0.314, 0.128, 0.141)
O (0.261, 0.694, 0.257)
O (0.420, 0.817, 0.588)
O (0.406, 0.973, 0.409)
O (0.095, 0.162, 0.091)
O (0.417, 0.540, 0.025)
O (0.583, 0.705, 0.474)
O (0.737, 0.307, 0.748)
O (0.583, 0.463, 0.973)
O (0.100, 0.166, 0.809)
O (0.853, 0.543, 0.524)
O (0.240, 0.105, 0.643)
O (0.013, 0.187, 0.910)
O (0.648, 0.462, 0.473)
O (0.598, 0.035, 0.308)
O (0.230, 0.295, 0.025)
O (0.149, 0.478, 0.758)
O (0.523, 0.839, 0.694)
O (0.947, 0.373, 0.643)
O (0.148, 0.461, 0.474)
O (0.821, 0.494, 0.924)
O (0.083, 0.958, 0.193)
O (0.397, 0.833, 0.192)
O (0.149, 0.834, 0.973)
O (0.248, 0.855, 0.076)
O (0.581, 0.209, 0.694)
O (0.920, 0.313, 0.248)
O (0.353, 0.165, 0.025)
O (0.927, 0.360, 0.924)
O (0.089, 0.481, 0.257)
O (0.920, 0.023, 0.088)
O (0.176, 0.848, 0.573)
O (0.447, 0.373, 0.643)
O (0.649, 0.478, 0.758)
O (0.918, 0.296, 0.526)
O (0.321, 0.147, 0.424)
O (0.180, 0.506, 0.076)
O (0.985, 0.167, 0.309)
O (0.406, 0.838, 0.910)
O (0.021, 0.206, 0.193)
O (0.582, 0.957, 0.193)
O (0.413, 0.307, 0.242)
O (0.252, 0.627, 0.859)
O (0.821, 0.147, 0.424)
O (0.250, 0.373, 0.141)
O (0.186, 0.496, 0.359)
O (0.748, 0.647, 0.573)
O (0.344, 0.159, 0.748)
O (0.918, 0.035, 0.809)
O (0.437, 0.501, 0.141)
O (0.076, 0.505, 0.574)
O (0.269, 0.705, 0.975)
O (0.105, 0.038, 0.308)
O (0.083, 0.704, 0.473)
O (0.484, 0.801, 0.810)
O (0.513, 0.187, 0.910)
O (0.572, 0.640, 0.076)
O (0.486, 0.811, 0.090)
O (0.581, 0.974, 0.910)
O (0.647, 0.832, 0.974)
O (0.740, 0.105, 0.643)
O (0.770, 0.835, 0.474)
O (0.153, 0.828, 0.257)
O (0.845, 0.530, 0.248)
O (0.676, 0.503, 0.074)
O (0.415, 0.792, 0.308)
O (0.023, 0.839, 0.694)
O (0.092, 0.023, 0.588)
O (0.586, 0.476, 0.257)
O (0.427, 0.493, 0.424)
O (0.685, 0.495, 0.357)
O (0.590, 0.158, 0.088)
O (0.844, 0.159, 0.748)
O (0.676, 0.848, 0.574)
O (0.062, 0.495, 0.858)
O (0.251, 0.875, 0.358)
O (0.853, 0.162, 0.024)
Ge (0.333, 0.333, 0.981)
Ge (0.000, 0.999, 0.855)
Ge (0.667, 0.667, 0.020)
Ge (0.499, 0.999, 0.643)
Ge (0.333, 0.334, 0.482)
Ge (0.333, 0.335, 0.186)
Ge (0.170, 0.666, 0.315)
Ge (0.833, 0.333, 0.982)
Ge (0.666, 0.673, 0.316)
Ge (0.169, 0.666, 0.816)
Ge (0.001, 0.003, 0.355)
Ge (0.500, 0.999, 0.855)
Ge (0.667, 0.667, 0.519)
Ge (0.999, 0.998, 0.643)
Ge (0.167, 0.667, 0.020)
Ge (0.167, 0.667, 0.519)
Ge (0.833, 0.334, 0.482)
Ge (0.669, 0.666, 0.816)
Ge (0.501, 0.999, 0.146)
Ge (0.998, 0.001, 0.145)
Ge (0.498, 0.997, 0.354)
Na (0.500, 0.000, 0.500)
Na (0.501, 0.001, 0.001)
Na (0.670, 0.666, 0.663)
Na (0.333, 0.334, 0.334)
Na (0.997, 0.628, 0.248)
Na (0.996, 0.365, 0.747)
Na (0.170, 0.666, 0.663)
Na (0.333, 0.340, 0.833)
Na (0.686, 0.005, 0.747)
Na (0.833, 0.340, 0.833)
Na (0.186, 0.005, 0.747)
Na (0.668, 0.674, 0.165)
Na (0.685, 0.366, 0.248)
Na (0.169, 0.666, 0.166)
Na (0.833, 0.325, 0.333)
Na (0.000, 0.000, 0.500)
Na (0.496, 0.365, 0.746)
Na (0.999, 0.999, 0.001)

---

VASP calculation (PBE-GGA) on a relaxed structure of Mg6CoNi.

Computed properties:
V   17.6 Å³/atom
Polymorph energy (0 for the lowest one)   0.0 meV per atom

Lattice parameters (Å, degrees): 4.531 6.590 9.446 90.00 90.00 90.00
Positions (direct):
Ni (0.500, 0.000, 0.602)
Ni (0.500, 0.500, 0.102)
Co (0.000, 0.500, 0.400)
Co (0.000, 0.000, 0.900)
Mg (0.500, 0.222, 0.862)
Mg (0.000, 0.722, 0.138)
Mg (0.000, 0.222, 0.638)
Mg (0.000, 0.000, 0.385)
Mg (0.500, 0.278, 0.362)
Mg (0.000, 0.500, 0.885)
Mg (0.000, 0.778, 0.638)
Mg (0.500, 0.000, 0.113)
Mg (0.500, 0.500, 0.613)
Mg (0.000, 0.278, 0.138)
Mg (0.500, 0.722, 0.362)
Mg (0.500, 0.778, 0.862)

---

VASP calculation (PBE-GGA) on a relaxed structure of KB5O8.

Computed properties:
V   15.7 Å³/atom
SG   Pbca
Polymorph energy (0 for the lowest one)   292.2 meV per atom

Lattice parameters (Å, degrees): 8.276 12.390 17.183 90.00 90.00 90.00
Positions (direct):
O (0.394, 0.657, 0.273)
O (0.770, 0.184, 0.678)
O (0.678, 0.540, 0.462)
O (0.894, 0.843, 0.727)
O (0.363, 0.833, 0.479)
O (0.730, 0.816, 0.178)
O (0.670, 0.360, 0.509)
O (0.113, 0.911, 0.076)
O (0.270, 0.184, 0.822)
O (0.878, 0.021, 0.055)
O (0.622, 0.979, 0.555)
O (0.887, 0.411, 0.424)
O (0.863, 0.833, 0.021)
O (0.592, 0.720, 0.490)
O (0.092, 0.780, 0.509)
O (0.770, 0.316, 0.178)
O (0.122, 0.521, 0.445)
O (0.270, 0.316, 0.322)
O (0.606, 0.343, 0.727)
O (0.887, 0.089, 0.924)
O (0.637, 0.333, 0.021)
O (0.637, 0.167, 0.521)
O (0.592, 0.780, 0.990)
O (0.113, 0.589, 0.576)
O (0.378, 0.479, 0.945)
O (0.863, 0.667, 0.521)
O (0.822, 0.460, 0.962)
O (0.122, 0.979, 0.945)
O (0.408, 0.280, 0.509)
O (0.830, 0.860, 0.509)
O (0.322, 0.040, 0.038)
O (0.322, 0.460, 0.538)
O (0.613, 0.911, 0.424)
O (0.178, 0.540, 0.038)
O (0.678, 0.960, 0.962)
O (0.330, 0.640, 0.491)
O (0.670, 0.140, 0.009)
O (0.830, 0.640, 0.009)
O (0.730, 0.684, 0.678)
O (0.387, 0.411, 0.076)
O (0.822, 0.040, 0.462)
O (0.137, 0.167, 0.979)
O (0.137, 0.333, 0.479)
O (0.908, 0.280, 0.990)
O (0.170, 0.360, 0.991)
O (0.387, 0.089, 0.576)
O (0.622, 0.521, 0.055)
O (0.408, 0.220, 0.010)
O (0.230, 0.816, 0.322)
O (0.178, 0.960, 0.538)
O (0.394, 0.843, 0.773)
O (0.106, 0.157, 0.273)
O (0.330, 0.860, 0.991)
O (0.878, 0.479, 0.555)
O (0.908, 0.220, 0.490)
O (0.092, 0.720, 0.010)
O (0.378, 0.021, 0.445)
O (0.106, 0.343, 0.773)
O (0.606, 0.157, 0.227)
O (0.363, 0.667, 0.979)
O (0.894, 0.657, 0.227)
O (0.613, 0.589, 0.924)
O (0.230, 0.684, 0.822)
O (0.170, 0.140, 0.491)
B (0.200, 0.638, 0.010)
B (0.073, 0.221, 0.485)
B (0.427, 0.779, 0.985)
B (0.042, 0.073, 0.945)
B (0.927, 0.721, 0.015)
B (0.073, 0.279, 0.985)
B (0.306, 0.732, 0.299)
B (0.200, 0.862, 0.510)
B (0.042, 0.427, 0.445)
B (0.723, 0.554, 0.987)
B (0.573, 0.221, 0.015)
B (0.777, 0.446, 0.487)
B (0.306, 0.768, 0.799)
B (0.542, 0.427, 0.055)
B (0.223, 0.554, 0.513)
B (0.277, 0.054, 0.513)
B (0.958, 0.927, 0.055)
B (0.194, 0.268, 0.799)
B (0.427, 0.721, 0.485)
B (0.223, 0.946, 0.013)
B (0.694, 0.268, 0.701)
B (0.806, 0.768, 0.701)
B (0.927, 0.779, 0.515)
B (0.542, 0.073, 0.555)
B (0.458, 0.573, 0.945)
B (0.277, 0.446, 0.013)
B (0.300, 0.362, 0.510)
B (0.723, 0.946, 0.487)
B (0.800, 0.138, 0.490)
B (0.800, 0.362, 0.990)
B (0.700, 0.638, 0.490)
B (0.194, 0.232, 0.299)
B (0.573, 0.279, 0.515)
B (0.777, 0.054, 0.987)
B (0.458, 0.927, 0.445)
B (0.806, 0.732, 0.201)
B (0.300, 0.138, 0.010)
B (0.700, 0.862, 0.990)
B (0.958, 0.573, 0.555)
B (0.694, 0.232, 0.201)
K (0.053, 0.090, 0.697)
K (0.053, 0.410, 0.197)
K (0.947, 0.910, 0.303)
K (0.947, 0.590, 0.803)
K (0.553, 0.090, 0.803)
K (0.447, 0.590, 0.697)
K (0.553, 0.410, 0.303)
K (0.447, 0.910, 0.197)

---

Number 1: total moment 0.000 μB per formula unit, VASP energy -0.245 hartree per atom. Number 2: total moment 0.751 μB per formula unit, VASP energy -0.101 hartree per atom. Number 3: total moment 0.000 μB per formula unit, VASP energy -0.274 hartree per atom.